Compound: MgNi4O9
Source: the Materials Project database
Functional: PBE+U
Structure: optimized geometry

Values from the calculation:
Calculated volume ... 12.90 Å³ per atom
Energy of formation ... -72 kJ/mol of atoms
Symmetry ... No. 1

a = 5.3515 Å, b = 8.1389 Å, c = 8.3008 Å
α = 92.19°, β = 90.26°, γ = 90.11°
Element x y z (fractional)
O 0.5806 0.9462 0.8559
O 0.4127 0.0422 0.1403
Ni 0.5996 0.5301 0.1639
O 0.5700 0.5478 0.6442
Ni 0.4042 0.0314 0.6628
Ni 0.4652 0.8360 0.0331
Ni 0.5458 0.3367 0.5311
O 0.4211 0.4495 0.3530
Ni 0.5453 0.9700 0.3401
O 0.0945 0.8891 0.6639
Ni 0.4492 0.4694 0.8422
O 0.1233 0.6084 0.8513
O 0.4136 0.3618 0.0396
O 0.8982 0.2334 0.0962
Ni 0.4111 0.6658 0.4655
Mg 0.2359 0.2567 0.2373
O 0.1306 0.7538 0.9284
O 0.9050 0.3842 0.1718
O 0.8750 0.2533 0.4199
O 0.0953 0.7409 0.5833
Ni 0.5839 0.1630 0.9685
O 0.6252 0.6485 0.9537
Mg 0.7645 0.7536 0.7387
O 0.5881 0.8634 0.5385
O 0.5198 0.2541 0.7458
O 0.3770 0.1474 0.4512
O 0.8707 0.1100 0.3382
O 0.4947 0.7534 0.2416